An optimized crystal structure of U2Cl5O2, computed with PBE.

Values from the calculation:
As for the energy: -6.8458 eV per atom. The symmetry is Cmmm. As for the volume: 242.5 Å³/cell.

Unit cell a=8.112 b=8.112 c=4.131 alpha=90.00 beta=90.00 gamma=116.87
Fractional positions:
U 0.200 0.800 0.000
U 0.800 0.200 0.000
Cl 0.000 0.000 0.000
Cl 0.171 0.450 0.000
Cl 0.450 0.171 0.000
Cl 0.550 0.829 0.000
Cl 0.829 0.550 0.000
O 0.201 0.799 0.500
O 0.799 0.201 0.500